(1)
# Ba3Os3N5 PBE optimized geometry
data_Ba3Os3N5
_chemical_formula_sum 'Ba6 Os6 N10'
_symmetry_space_group_name_H-M 'P -1'
_symmetry_Int_Tables_number 2
_symmetry_space_group_name_Hall '-P 1'
_cell_length_a 5.9118
_cell_length_b 8.2225
_cell_length_c 9.7661
_cell_angle_alpha 107.18
_cell_angle_beta 105.57
_cell_angle_gamma 98.93
loop_
_atom_site_label
_atom_site_type_symbol
_atom_site_fract_x
_atom_site_fract_y
_atom_site_fract_z
Ba1 Ba 0.1327 0.3377 0.4024
Ba2 Ba 0.2103 0.2378 0.7512
Ba3 Ba 0.2716 0.9228 0.1035
Os1 Os 0.1221 0.4636 0.1235
Os2 Os 0.3946 0.8435 0.4870
Os3 Os 0.4627 0.6619 0.8099
N1 N 0.2080 0.2346 0.0393
N2 N 0.2078 0.6059 0.8747
N3 N 0.2244 0.6538 0.3067
N4 N 0.2583 0.0175 0.3981
N5 N 0.4187 0.7078 0.6308
# **MP2020-corrected energy**: -7.70 eV per atom
# **M_tot**: 0.0 μB/f.u.

---

(2)
# NaH4AuBr4O2 PBE optimized geometry
data_NaH4AuBr4O2
_chemical_formula_sum 'Na4 H16 Au4 Br16 O8'
_symmetry_space_group_name_H-M 'P n m a'
_symmetry_Int_Tables_number 62
_symmetry_space_group_name_Hall '-P 2ac 2n'
_cell_length_a 13.4170
_cell_length_b 7.6069
_cell_length_c 9.4907
_cell_angle_alpha 90.00
_cell_angle_beta 90.00
_cell_angle_gamma 90.00
loop_
_atom_site_label
_atom_site_type_symbol
_atom_site_fract_x
_atom_site_fract_y
_atom_site_fract_z
Na1 Na 0.0150 0.2500 0.0425
H1 H 0.1325 0.0072 0.8656
H2 H 0.1749 0.5220 0.0158
Au1 Au 0.0631 0.2500 0.5118
Br1 Br 0.0463 0.7500 0.2783
Br2 Br 0.0867 0.7500 0.6422
Br3 Br 0.1730 0.2500 0.3016
Br4 Br 0.2119 0.2500 0.6680
O1 O 0.1127 0.5012 0.9652
# **MP2020-corrected energy**: -3.83 eV per atom
# **M_tot**: 0.0 μB/f.u.

---

(3)
# Ce2CdSe4 PBE optimized geometry
data_Ce2CdSe4
_chemical_formula_sum 'Ce8 Cd4 Se16'
_symmetry_space_group_name_H-M 'I -4 2 d'
_symmetry_Int_Tables_number 122
_symmetry_space_group_name_Hall 'I -4 2bw'
_cell_length_a 8.8310
_cell_length_b 8.8310
_cell_length_c 9.3016
_cell_angle_alpha 90.00
_cell_angle_beta 90.00
_cell_angle_gamma 90.00
loop_
_atom_site_label
_atom_site_type_symbol
_atom_site_fract_x
_atom_site_fract_y
_atom_site_fract_z
Ce1 Ce 0.1370 0.2500 0.1250
Cd1 Cd 0.0000 0.0000 0.5000
Se1 Se 0.0702 0.1922 0.8119
# **MP2020-corrected energy**: -5.48 eV per atom
# **M_tot**: 2.0 μB/f.u.

---

(4)
# VB4Os PBE optimized geometry
data_VB4Os
_chemical_formula_sum 'V1 B4 Os1'
_symmetry_space_group_name_H-M 'P -6 m 2'
_symmetry_Int_Tables_number 187
_symmetry_space_group_name_Hall 'P -6 2'
_cell_length_a 2.8775
_cell_length_b 2.8775
_cell_length_c 7.4537
_cell_angle_alpha 90.00
_cell_angle_beta 90.00
_cell_angle_gamma 120.00
loop_
_atom_site_label
_atom_site_type_symbol
_atom_site_fract_x
_atom_site_fract_y
_atom_site_fract_z
V1 V 0.0000 0.0000 0.0000
B1 B 0.0000 0.0000 0.2905
B2 B 0.3333 0.6667 0.2031
Os1 Os 0.3333 0.6667 0.5000
# **Raw total energy**: -48.8 eV for the cell shown
# **M_tot**: 0.0 μB/f.u.

---

(5)
# Sr3As4 PBE optimized geometry
data_Sr3As4
_chemical_formula_sum 'Sr6 As8'
_symmetry_space_group_name_H-M 'P 1'
_symmetry_Int_Tables_number 1
_symmetry_space_group_name_Hall 'P 1'
_cell_length_a 6.0428
_cell_length_b 8.0902
_cell_length_c 9.5254
_cell_angle_alpha 83.20
_cell_angle_beta 71.51
_cell_angle_gamma 68.07
loop_
_atom_site_label
_atom_site_type_symbol
_atom_site_fract_x
_atom_site_fract_y
_atom_site_fract_z
Sr1 Sr 0.0000 0.0000 0.0000
Sr2 Sr 0.0624 0.4927 0.8306
Sr3 Sr 0.2936 0.0094 0.3257
Sr4 Sr 0.3786 0.5056 0.1657
Sr5 Sr 0.6457 0.9960 0.6560
Sr6 Sr 0.7551 0.5055 0.4939
As1 As 0.0692 0.1665 0.6558
As2 As 0.1556 0.6799 0.5019
As3 As 0.3462 0.3261 0.4858
As4 As 0.4203 0.1738 0.9932
As5 As 0.4654 0.6702 0.8356
As6 As 0.5834 0.8308 0.9945
As7 As 0.8847 0.8321 0.3389
As8 As 0.9801 0.3339 0.1500
# **M_tot**: 0.0 μB/f.u.
# **ΔE to the lowest computed polymorph**: 0.006 eV/atom

---

(6)
# Nd3AlNiS7 PBE optimized geometry
data_Nd3AlNiS7
_chemical_formula_sum 'Nd6 Al2 Ni2 S14'
_symmetry_space_group_name_H-M 'P 63'
_symmetry_Int_Tables_number 173
_symmetry_space_group_name_Hall 'P 6c'
_cell_length_a 10.0149
_cell_length_b 10.0149
_cell_length_c 6.0214
_cell_angle_alpha 90.00
_cell_angle_beta 90.00
_cell_angle_gamma 120.00
loop_
_atom_site_label
_atom_site_type_symbol
_atom_site_fract_x
_atom_site_fract_y
_atom_site_fract_z
Nd1 Nd 0.1404 0.3722 0.0000
Al1 Al 0.3333 0.6667 0.4230
Ni1 Ni 0.0000 0.0000 0.2750
S1 S 0.0870 0.2277 0.5397
S2 S 0.0976 0.5800 0.2744
S3 S 0.3333 0.6667 0.7922
# **MP2020-corrected energy**: -6.24 eV per atom
# **M_tot**: 2.0 μB/f.u.

---

(7)
# LaP3O14 PBE optimized geometry
data_LaP3O14
_chemical_formula_sum 'La4 P12 O56'
_symmetry_space_group_name_H-M 'P 21 21 2'
_symmetry_Int_Tables_number 18
_symmetry_space_group_name_Hall 'P 2 2ab'
_cell_length_a 13.0727
_cell_length_b 13.7068
_cell_length_c 7.0276
_cell_angle_alpha 90.00
_cell_angle_beta 90.00
_cell_angle_gamma 90.00
loop_
_atom_site_label
_atom_site_type_symbol
_atom_site_fract_x
_atom_site_fract_y
_atom_site_fract_z
La1 La 0.2281 0.1938 0.3227
P1 P 0.0234 0.8129 0.5638
P2 P 0.1545 0.1233 0.7962
P3 P 0.1979 0.9504 0.5573
O1 O 0.0350 0.1450 0.7504
O2 O 0.0514 0.2083 0.4073
O3 O 0.0629 0.6131 0.1536
O4 O 0.0816 0.5950 0.9854
O5 O 0.0881 0.9066 0.4943
O6 O 0.0939 0.7332 0.6303
O7 O 0.1237 0.3744 0.8229
O8 O 0.1627 0.3620 0.9869
O9 O 0.1673 0.0080 0.7524
O10 O 0.1685 0.1366 0.0065
O11 O 0.2213 0.1808 0.6633
O12 O 0.2283 0.0218 0.4053
O13 O 0.2304 0.3696 0.3907
O14 O 0.2475 0.8208 0.0054
# **Raw total energy**: -485.8 eV for the cell shown
# **M_tot**: 0.0 μB/f.u.

---

(8)
# Li3W PBE optimized geometry
data_Li3W
_chemical_formula_sum 'Li6 W2'
_symmetry_space_group_name_H-M 'P 63/m m c'
_symmetry_Int_Tables_number 194
_symmetry_space_group_name_Hall '-P 6c 2c'
_cell_length_a 5.5373
_cell_length_b 5.5373
_cell_length_c 4.3395
_cell_angle_alpha 90.00
_cell_angle_beta 90.00
_cell_angle_gamma 120.00
loop_
_atom_site_label
_atom_site_type_symbol
_atom_site_fract_x
_atom_site_fract_y
_atom_site_fract_z
Li1 Li 0.1650 0.3301 0.2500
W1 W 0.3333 0.6667 0.7500
# **M_tot**: 0.9 μB/f.u.
# **ΔE to the lowest computed polymorph**: 0.008 eV/atom

---

(9)
# HfTaNO3 PBE optimized geometry
data_HfTaNO3
_chemical_formula_sum 'Hf2 Ta2 N2 O6'
_symmetry_space_group_name_H-M 'P 1 21 1'
_symmetry_Int_Tables_number 4
_symmetry_space_group_name_Hall 'P 2yb'
_cell_length_a 5.0723
_cell_length_b 5.1287
_cell_length_c 5.3047
_cell_angle_alpha 90.00
_cell_angle_beta 99.25
_cell_angle_gamma 90.00
loop_
_atom_site_label
_atom_site_type_symbol
_atom_site_fract_x
_atom_site_fract_y
_atom_site_fract_z
Hf1 Hf 0.2181 0.0000 0.0367
Ta1 Ta 0.2120 0.5930 0.5374
N1 N 0.0523 0.3052 0.2884
O1 O 0.0539 0.2915 0.7712
O2 O 0.4244 0.6946 0.8990
O3 O 0.4394 0.8497 0.4003
# **MP2020-corrected energy**: -10.53 eV per atom
# **M_tot**: 0.0 μB/f.u.
# **ΔE to the lowest computed polymorph**: 0.000 eV/atom

---

(10)
# AlPO4 PBE optimized geometry
data_AlPO4
_chemical_formula_sum 'Al36 P36 O144'
_symmetry_space_group_name_H-M 'C m c 21'
_symmetry_Int_Tables_number 36
_symmetry_space_group_name_Hall 'C 2c -2'
_cell_length_a 33.4586
_cell_length_b 14.9624
_cell_length_c 8.5702
_cell_angle_alpha 90.00
_cell_angle_beta 90.00
_cell_angle_gamma 90.00
loop_
_atom_site_label
_atom_site_type_symbol
_atom_site_fract_x
_atom_site_fract_y
_atom_site_fract_z
Al1 Al 0.0000 0.0745 0.0197
Al2 Al 0.0817 0.1158 0.4918
Al3 Al 0.1522 0.2100 0.0000
Al4 Al 0.1828 0.4074 0.4982
Al5 Al 0.2266 0.1026 0.4952
P1 P 0.0000 0.1244 0.3867
P2 P 0.0819 0.0840 0.8586
P3 P 0.1558 0.2237 0.3719
P4 P 0.1804 0.3974 0.8802
P5 P 0.2245 0.0930 0.8773
O1 O 0.0000 0.0411 0.4939
O2 O 0.0000 0.0951 0.2167
O3 O 0.0390 0.1759 0.4208
O4 O 0.0446 0.1174 0.9464
O5 O 0.0732 0.0880 0.6846
O6 O 0.0917 0.0139 0.3977
O7 O 0.1170 0.1455 0.8997
O8 O 0.1247 0.1807 0.4806
O9 O 0.1443 0.2044 0.2015
O10 O 0.1531 0.3229 0.9429
O11 O 0.1554 0.3250 0.4006
O12 O 0.1644 0.4880 0.9383
O13 O 0.1798 0.3949 0.7009
O14 O 0.1976 0.1865 0.4088
O15 O 0.1992 0.1656 0.9559
O16 O 0.2083 0.0002 0.4219
O17 O 0.2227 0.1051 0.6992
O18 O 0.2235 0.3832 0.9392
O19 O 0.2324 0.3970 0.4350
# **MP2020-corrected energy**: -7.92 eV per atom
# **M_tot**: 0.0 μB/f.u.

---

(11)
# MgCu4Ag4O6 PBE optimized geometry
data_MgCu4Ag4O6
_chemical_formula_sum 'Mg2 Cu8 Ag8 O12'
_symmetry_space_group_name_H-M 'C 1 2 1'
_symmetry_Int_Tables_number 5
_symmetry_space_group_name_Hall 'C 2y'
_cell_length_a 8.2318
_cell_length_b 9.3782
_cell_length_c 6.6188
_cell_angle_alpha 90.00
_cell_angle_beta 122.43
_cell_angle_gamma 90.00
loop_
_atom_site_label
_atom_site_type_symbol
_atom_site_fract_x
_atom_site_fract_y
_atom_site_fract_z
Mg1 Mg 0.0000 0.0000 0.0000
Cu1 Cu 0.1371 0.0097 0.4696
Cu2 Cu 0.2446 0.2291 0.7782
Ag1 Ag 0.0285 0.4918 0.7593
Ag2 Ag 0.2331 0.7515 0.7108
O1 O 0.0000 0.1522 0.5000
O2 O 0.0000 0.7922 0.0000
O3 O 0.2112 0.1099 0.0008
O4 O 0.2172 0.3703 0.5393
# **MP2020-corrected energy**: -4.69 eV per atom
# **M_tot**: 0.0 μB/f.u.

---

> What is the formula in the second record?

NaH4AuBr4O2

---

> Which value of M_tot does entry 2 give?

0.0 μB/f.u.